A plane-wave DFT calculation with GGA-PBE was carried out for a geometry-optimized Li15Ge4 structure.

Results
For the total energy, the calculation gives -213.41 eV/cell. Its volume is 1225.4 Å³ per cell. The formation enthalpy at 0 K comes out at -328 meV per atom.

Cell: 10.701 10.701 10.701 Å, 90.00 90.00 90.00°
Space group I-43d (No. 220)
Unique sites:
Li1 0.000 0.250 0.375
Li2 0.037 0.378 0.154
Ge1 0.042 0.458 0.542